Record 1
# PrMgPd PBE optimized geometry
data_PrMgPd
_chemical_formula_sum 'Pr3 Mg3 Pd3'
_space_group_name_H-M_alt 'P 1'
_space_group_IT_number 1
_cell_length_a 7.718
_cell_length_b 7.718
_cell_length_c 4.122
_cell_angle_alpha 90.00
_cell_angle_beta 90.00
_cell_angle_gamma 120.00
loop_
_space_group_symop_operation_xyz
'x,y,z'
loop_
_atom_site_label
_atom_site_type_symbol
_atom_site_fract_x
_atom_site_fract_y
_atom_site_fract_z
_atom_site_occupancy
Pr1 Pr 0.000 0.415 0.000 1
Pr2 Pr 0.415 0.000 0.000 1
Pr3 Pr 0.585 0.585 0.000 1
Mg1 Mg 0.000 0.760 0.500 1
Mg2 Mg 0.240 0.240 0.500 1
Mg3 Mg 0.760 0.000 0.500 1
Pd1 Pd 0.000 0.000 0.000 1
Pd2 Pd 0.333 0.667 0.500 1
Pd3 Pd 0.667 0.333 0.500 1
# DFT formation energy: -186 kJ/mol of formula units
# space group: P-62m
# E_tot: -13.49 eV per formula unit

Record 2
# Pr2MgPd2 PBE optimized geometry
data_Pr2MgPd2
_chemical_formula_sum 'Pr4 Mg2 Pd4'
_space_group_name_H-M_alt 'P 1'
_space_group_IT_number 1
_cell_length_a 7.798
_cell_length_b 7.798
_cell_length_c 4.062
_cell_angle_alpha 90.00
_cell_angle_beta 90.00
_cell_angle_gamma 90.00
loop_
_space_group_symop_operation_xyz
'x,y,z'
loop_
_atom_site_label
_atom_site_type_symbol
_atom_site_fract_x
_atom_site_fract_y
_atom_site_fract_z
_atom_site_occupancy
Pr1 Pr 0.173 0.327 0.000 1
Pr2 Pr 0.327 0.827 0.000 1
Pr3 Pr 0.673 0.173 0.000 1
Pr4 Pr 0.827 0.673 0.000 1
Mg1 Mg 0.000 0.000 0.500 1
Mg2 Mg 0.500 0.500 0.500 1
Pd1 Pd 0.129 0.629 0.500 1
Pd2 Pd 0.371 0.129 0.500 1
Pd3 Pd 0.629 0.871 0.500 1
Pd4 Pd 0.871 0.371 0.500 1
# DFT formation energy: -335 kJ/mol of formula units
# space group: P4/mbm
# E_tot: -25.00 eV per formula unit

Record 3
# Mg2PdPt PBE optimized geometry
data_Mg2PdPt
_chemical_formula_sum 'Mg2 Pd1 Pt1'
_space_group_name_H-M_alt 'P 1'
_space_group_IT_number 1
_cell_length_a 4.493
_cell_length_b 4.493
_cell_length_c 4.493
_cell_angle_alpha 60.00
_cell_angle_beta 60.00
_cell_angle_gamma 60.00
loop_
_space_group_symop_operation_xyz
'x,y,z'
loop_
_atom_site_label
_atom_site_type_symbol
_atom_site_fract_x
_atom_site_fract_y
_atom_site_fract_z
_atom_site_occupancy
Mg1 Mg 0.250 0.250 0.250 1
Mg2 Mg 0.750 0.750 0.750 1
Pd1 Pd 0.000 0.000 0.000 1
Pt1 Pt 0.500 0.500 0.500 1
# DFT formation energy: -312 kJ/mol of formula units
# space group: Fm-3m
# E_tot: -17.69 eV per formula unit

Record 4
# MgSbPd PBE optimized geometry
data_MgSbPd
_chemical_formula_sum 'Mg1 Sb1 Pd1'
_space_group_name_H-M_alt 'P 1'
_space_group_IT_number 1
_cell_length_a 4.492
_cell_length_b 4.492
_cell_length_c 4.492
_cell_angle_alpha 60.00
_cell_angle_beta 60.00
_cell_angle_gamma 60.00
loop_
_space_group_symop_operation_xyz
'x,y,z'
loop_
_atom_site_label
_atom_site_type_symbol
_atom_site_fract_x
_atom_site_fract_y
_atom_site_fract_z
_atom_site_occupancy
Mg1 Mg 0.000 0.000 0.000 1
Sb1 Sb 0.500 0.500 0.500 1
Pd1 Pd 0.250 0.250 0.250 1
# DFT formation energy: -182 kJ/mol of formula units
# space group: F-43m
# E_tot: -12.79 eV per formula unit

Record 5
# Sm4MgPd PBE optimized geometry
data_Sm4MgPd
_chemical_formula_sum 'Sm16 Mg4 Pd4'
_space_group_name_H-M_alt 'P 1'
_space_group_IT_number 1
_cell_length_a 9.977
_cell_length_b 9.977
_cell_length_c 9.977
_cell_angle_alpha 60.00
_cell_angle_beta 60.00
_cell_angle_gamma 60.00
loop_
_space_group_symop_operation_xyz
'x,y,z'
loop_
_atom_site_label
_atom_site_type_symbol
_atom_site_fract_x
_atom_site_fract_y
_atom_site_fract_z
_atom_site_occupancy
Sm1 Sm 0.184 0.184 0.816 1
Sm2 Sm 0.184 0.816 0.184 1
Sm3 Sm 0.184 0.816 0.816 1
Sm4 Sm 0.401 0.401 0.401 1
Sm5 Sm 0.401 0.401 0.797 1
Sm6 Sm 0.401 0.797 0.401 1
Sm7 Sm 0.560 0.560 0.940 1
Sm8 Sm 0.560 0.940 0.560 1
Sm9 Sm 0.560 0.940 0.940 1
Sm10 Sm 0.797 0.401 0.401 1
Sm11 Sm 0.816 0.184 0.184 1
Sm12 Sm 0.816 0.184 0.816 1
Sm13 Sm 0.816 0.816 0.184 1
Sm14 Sm 0.940 0.560 0.560 1
Sm15 Sm 0.940 0.560 0.940 1
Sm16 Sm 0.940 0.940 0.560 1
Mg1 Mg 0.170 0.170 0.170 1
Mg2 Mg 0.170 0.170 0.489 1
Mg3 Mg 0.170 0.489 0.170 1
Mg4 Mg 0.489 0.170 0.170 1
Pd1 Pd 0.178 0.607 0.607 1
Pd2 Pd 0.607 0.178 0.607 1
Pd3 Pd 0.607 0.607 0.178 1
Pd4 Pd 0.607 0.607 0.607 1
# magnetic moment: 0.00 μB/f.u.
# DFT formation energy: -191 kJ/mol of formula units
# space group: F-43m
# E_tot: -27.63 eV per formula unit

Record 6
# Tb2MgPd2 PBE optimized geometry
data_Tb2MgPd2
_chemical_formula_sum 'Tb4 Mg2 Pd4'
_space_group_name_H-M_alt 'P 1'
_space_group_IT_number 1
_cell_length_a 7.668
_cell_length_b 7.668
_cell_length_c 3.858
_cell_angle_alpha 90.00
_cell_angle_beta 90.00
_cell_angle_gamma 90.00
loop_
_space_group_symop_operation_xyz
'x,y,z'
loop_
_atom_site_label
_atom_site_type_symbol
_atom_site_fract_x
_atom_site_fract_y
_atom_site_fract_z
_atom_site_occupancy
Tb1 Tb 0.169 0.331 0.000 1
Tb2 Tb 0.331 0.831 0.000 1
Tb3 Tb 0.669 0.169 0.000 1
Tb4 Tb 0.831 0.669 0.000 1
Mg1 Mg 0.000 0.000 0.500 1
Mg2 Mg 0.500 0.500 0.500 1
Pd1 Pd 0.132 0.632 0.500 1
Pd2 Pd 0.368 0.132 0.500 1
Pd3 Pd 0.632 0.868 0.500 1
Pd4 Pd 0.868 0.368 0.500 1
# DFT formation energy: -373 kJ/mol of formula units
# space group: P4/mbm
# E_tot: -25.10 eV per formula unit

Record 7
# TmMgPd PBE optimized geometry
data_TmMgPd
_chemical_formula_sum 'Tm3 Mg3 Pd3'
_space_group_name_H-M_alt 'P 1'
_space_group_IT_number 1
_cell_length_a 7.452
_cell_length_b 7.452
_cell_length_c 3.976
_cell_angle_alpha 90.00
_cell_angle_beta 90.00
_cell_angle_gamma 120.00
loop_
_space_group_symop_operation_xyz
'x,y,z'
loop_
_atom_site_label
_atom_site_type_symbol
_atom_site_fract_x
_atom_site_fract_y
_atom_site_fract_z
_atom_site_occupancy
Tm1 Tm 0.000 0.589 0.000 1
Tm2 Tm 0.411 0.411 0.000 1
Tm3 Tm 0.589 0.000 0.000 1
Mg1 Mg 0.000 0.249 0.500 1
Mg2 Mg 0.249 0.000 0.500 1
Mg3 Mg 0.751 0.751 0.500 1
Pd1 Pd 0.000 0.000 0.000 1
Pd2 Pd 0.333 0.667 0.500 1
Pd3 Pd 0.667 0.333 0.500 1
# DFT formation energy: -203 kJ/mol of formula units
# space group: P-62m
# E_tot: -13.36 eV per formula unit

Record 8
# TmMgPd2 PBE optimized geometry
data_TmMgPd2
_chemical_formula_sum 'Tm1 Mg1 Pd2'
_space_group_name_H-M_alt 'P 1'
_space_group_IT_number 1
_cell_length_a 4.735
_cell_length_b 4.735
_cell_length_c 4.735
_cell_angle_alpha 60.00
_cell_angle_beta 60.00
_cell_angle_gamma 60.00
loop_
_space_group_symop_operation_xyz
'x,y,z'
loop_
_atom_site_label
_atom_site_type_symbol
_atom_site_fract_x
_atom_site_fract_y
_atom_site_fract_z
_atom_site_occupancy
Tm1 Tm 0.000 0.000 0.000 1
Mg1 Mg 0.500 0.500 0.500 1
Pd1 Pd 0.250 0.250 0.250 1
Pd2 Pd 0.750 0.750 0.750 1
# DFT formation energy: -327 kJ/mol of formula units
# space group: Fm-3m
# E_tot: -19.83 eV per formula unit

Question: Which value of DFT formation energy does entry 1 give?
Answer: -186 kJ/mol of formula units